1.
Na2TlCuBr6, optimized geometry, DFT PBE; total energy after the MP2020 corrections = -2.97 eV per atom; space-group type = Fm-3m; size of the total moment = 0.00 μB/f.u.; calculated volume = 318.6 Å³ per cell; E_form = -1080.9 meV per atom
1.0
0.000 5.421 5.421
5.421 0.000 5.421
5.421 5.421 0.000
Na Br Tl Cu
2 6 1 1
Cartesian
2.710 2.710 2.710 Na
8.131 8.131 8.131 Na
2.847 5.421 5.421 Br
5.421 5.421 7.995 Br
5.421 7.995 5.421 Br
7.995 5.421 5.421 Br
5.421 5.421 2.847 Br
5.421 2.847 5.421 Br
0.000 0.000 0.000 Tl
5.421 5.421 5.421 Cu

2.
Pm3Tl, optimized geometry, DFT PBE; space-group type = Pm-3m; calculated volume = 122.6 Å³ per cell; E_form = -204.1 meV per atom
1.0
-4.552 -1.677 1.070
0.103 -2.868 -4.055
1.987 -3.694 2.662
Pm Tl
3 1
Cartesian
-1.283 -2.685 1.866 Pm
-2.225 -2.272 -1.493 Pm
1.045 -3.281 -0.697 Pm
0.000 0.000 0.000 Tl